The following is a meta-GGA r2SCAN calculation of crystalline Zr3Zn at its relaxed geometry, from the Materials Project.

Values from the calculation:
E_tot: -19.41 eV per atom
ΔE_f: -0.488 eV/f.u.

The structure in CIF format:
```
data_Zr3Zn
_cell_length_a 4.280
_cell_length_b 4.280
_cell_length_c 8.982
_cell_angle_alpha 90.00
_cell_angle_beta 90.00
_cell_angle_gamma 90.00
_space_group_name_H-M_alt 'I 4/m m m'
_space_group_IT_number 139
_space_group_name_Hall '-I 4 2'
loop_
_atom_site_label
_atom_site_fract_x
_atom_site_fract_y
_atom_site_fract_z
Zr1 0.000 0.000 0.000
Zr2 0.000 0.500 0.250
Zn1 0.000 0.000 0.500
```